A geometry-optimized Mg2NiB2Ir5 structure. Source: the Materials Project, functional PBE-GGA.

Energy in eV/atom: -7.0352
DFT formation energy in eV/atom: -0.382

a = 9.358 Å, b = 9.358 Å, c = 2.943 Å
α = 90.00°, β = 90.00°, γ = 90.00°
Fractional coordinates of all 20 atoms:
Mg 0.175 0.325 0.000
Mg 0.325 0.825 0.000
Mg 0.675 0.175 0.000
Mg 0.825 0.675 0.000
Ni 0.000 0.000 0.000
Ni 0.500 0.500 0.000
B 0.128 0.628 0.000
B 0.372 0.128 0.000
B 0.628 0.872 0.000
B 0.872 0.372 0.000
Ir 0.000 0.500 0.500
Ir 0.072 0.788 0.500
Ir 0.212 0.072 0.500
Ir 0.288 0.572 0.500
Ir 0.428 0.288 0.500
Ir 0.500 0.000 0.500
Ir 0.572 0.712 0.500
Ir 0.712 0.428 0.500
Ir 0.788 0.928 0.500
Ir 0.928 0.212 0.500